No. 1
Material: SrCaGaBiO6
Method: DFT, PBE
State: optimized geometry

Results
Energy of formation from the pure elements in kcal/mol of atoms: -52.445
Total magnetization in μB/f.u.: 0.000
Raw total energy in Ry/atom: -0.4331

Cell lengths 5.7529, 5.7529, 5.7529 Å; angles 60.00, 60.00, 60.00 degrees
Closest atoms and distances in Å follow each position.
Positions (direct):
O 0.7424 0.2576 0.2576  1 Ga 1.97, 1 Bi 2.10
O 0.2576 0.7424 0.2576  1 Ga 1.97, 1 Bi 2.10
O 0.2576 0.2576 0.7424  1 Ga 1.97, 1 Bi 2.10
O 0.7424 0.7424 0.2576  1 Ga 1.97, 1 Bi 2.10
O 0.7424 0.2576 0.7424  1 Ga 1.97, 1 Bi 2.10
O 0.2576 0.7424 0.7424  1 Ga 1.97, 1 Bi 2.10
Sr 0.2500 0.2500 0.2500  12 O 2.88
Ga 0.5000 0.5000 0.5000  6 O 1.97
Ca 0.7500 0.7500 0.7500  12 O 2.88
Bi 0.0000 0.0000 0.0000  6 O 2.10

---

No. 2
Material: NaPr2RuO6
Method: DFT, PBE
State: optimized geometry

Results
Energy of formation from the pure elements in kcal/mol of atoms: -62.633
Total magnetization in μB/f.u.: 2.999
Raw total energy in Ry/atom: -0.5357

Cell lengths 6.0023, 5.5839, 9.7223 Å; angles 55.79, 90.00, 90.00 degrees
Closest atoms and distances in Å follow each position.
Positions (direct):
O 0.9517 0.3860 0.7309  1 Ru 1.98
O 0.7810 0.7319 0.9327  1 Ru 2.00
O 0.4517 0.6140 0.7691  1 Ru 1.98
O 0.5483 0.3860 0.2309  1 Ru 1.98
O 0.3272 0.8428 0.9489  1 Ru 1.98
O 0.7190 0.7319 0.4327  1 Ru 2.00
O 0.1728 0.8428 0.4489  1 Ru 1.98
O 0.2190 0.2681 0.0673  1 Ru 2.00
O 0.8272 0.1572 0.5511  1 Ru 1.98
O 0.2810 0.2681 0.5673  1 Ru 2.00
O 0.0483 0.6140 0.2691  1 Ru 1.98
O 0.6728 0.1572 0.0511  1 Ru 1.98
Na 0.0000 0.0000 0.0000  6 O 2.29-2.34
Na 0.5000 0.0000 0.5000  6 O 2.29-2.34
Ru 0.0000 0.5000 0.5000  6 O 1.98-2.00
Ru 0.5000 0.5000 0.0000  6 O 1.98-2.00
Pr 0.4285 0.7731 0.2467  5 O 2.36-2.62
Pr 0.9285 0.2269 0.2533  5 O 2.36-2.62
Pr 0.5715 0.2269 0.7533  5 O 2.36-2.62
Pr 0.0715 0.7731 0.7467  5 O 2.36-2.62

---

No. 3
Material: YPaTc2
Method: DFT, PBE
State: optimized geometry

Results
Energy of formation from the pure elements in kcal/mol of atoms: -2.995
Raw total energy in Ry/atom: -0.6839

Cell lengths 4.8553, 4.8553, 4.8553 Å; angles 60.00, 60.00, 60.00 degrees
Closest atoms and distances in Å follow each position.
Positions (direct):
Y 0.0000 0.0000 0.0000  8 Tc 2.97
Pa 0.5000 0.5000 0.5000  8 Tc 2.97
Tc 0.2500 0.2500 0.2500  4 Pa 2.97, 4 Y 2.97
Tc 0.7500 0.7500 0.7500  4 Pa 2.97, 4 Y 2.97

---

> Look up the energy of formation from the pure elements of the third one.

-2.995 kcal/mol of atoms